The following is a PBE calculation of a relaxed Tb6Ga19Pd3 crystal, from the Materials Project database.

Formation energy, eV/atom: -0.598

Cell lengths 8.1918, 8.1918, 15.8961 Å; angles 102.76, 102.76, 30.17 degrees
Closest atoms and distances in Å follow each position.
Sites, in units of the cell vectors:
Tb1 0.0000 0.0000 0.0000  12 Ga 3.13-3.26
Tb2 0.1590 0.1590 0.8461  1 Pd 3.06, 11 Ga 3.08-3.16
Tb3 0.3431 0.3431 0.6564  11 Ga 3.05-3.18, 1 Pd 3.10
Tb4 0.5017 0.5017 0.5027  12 Ga 3.13-3.29
Tb5 0.6499 0.6499 0.3447  2 Pd 3.05-3.10, 10 Ga 3.08-3.23
Tb6 0.8492 0.8492 0.1552  2 Pd 3.07, 10 Ga 3.08-3.22
Ga1 0.0103 0.0103 0.3534  4 Ga 2.56-2.72, 1 Pd 2.57
Ga2 0.0733 0.0733 0.2082  4 Ga 2.59-2.72, 2 Pd 2.73
Ga3 0.1409 0.1409 0.4825  5 Ga 2.56-2.72
Ga4 0.1489 0.1489 0.6500  6 Ga 2.62-2.78
Ga5 0.2102 0.2102 0.0741  4 Ga 2.61-2.73, 2 Pd 2.73
Ga6 0.2502 0.2502 0.2503  4 Ga 2.72-2.73, 4 Pd 2.85-2.86
Ga7 0.2907 0.2907 0.4261  4 Ga 2.61-2.72, 2 Pd 2.72
Ga8 0.3582 0.3582 0.0177  4 Ga 2.55-2.69, 1 Pd 2.59
Ga9 0.4269 0.4269 0.2916  4 Ga 2.58-2.72, 2 Pd 2.73
Ga10 0.4890 0.4890 0.1454  4 Ga 2.55-2.72, 1 Pd 2.59
Ga11 0.5174 0.5174 0.8604  4 Ga 2.53-2.69, 1 Pd 2.56
Ga12 0.5691 0.5691 0.7104  6 Ga 2.63-2.90
Ga13 0.6458 0.6458 0.9888  4 Ga 2.53-2.71, 1 Pd 2.60
Ga14 0.7090 0.7090 0.5682  6 Ga 2.63-2.93
Ga15 0.7572 0.7572 0.7572  6 Ga 2.69-3.01, 2 Pd 2.86
Ga16 0.7954 0.7954 0.9324  4 Ga 2.60-2.71, 2 Pd 2.74
Ga17 0.8554 0.8554 0.5112  4 Ga 2.54-2.67, 1 Pd 2.57
Ga18 0.9317 0.9317 0.7956  4 Ga 2.61-2.73, 2 Pd 2.73
Ga19 0.9819 0.9819 0.6426  5 Ga 2.54-2.73
Pd1 0.3542 0.3542 0.8539  8 Ga 2.56-2.86
Pd2 0.6548 0.6548 0.1539  8 Ga 2.59-2.85
Pd3 0.8464 0.8464 0.3474  8 Ga 2.57-2.86